# PBE+U Li2CrPO4F, optimized geometry
# Spin magnetization   0.444 μB/atom
# Relative energy among the computed polymorphs   0.00 eV/f.u.
# Electronic total energy   -6.621 eV/atom
data_Li2CrPO4F
_cell_length_a 10.5170
_cell_length_b 6.6418
_cell_length_c 11.0574
_cell_angle_alpha 90.00
_cell_angle_beta 90.00
_cell_angle_gamma 90.00
_space_group_name_H-M_alt 'P n m a'
_space_group_IT_number 62
_space_group_name_Hall '-P 2ac 2n'
loop_
_atom_site_label
_atom_site_type_symbol
_atom_site_fract_x
_atom_site_fract_y
_atom_site_fract_z
_atom_site_occupancy
Li1 Li 0.0278 0.2500 0.2261 1
Li2 Li 0.2307 0.7500 0.4176 1
Li3 Li 0.2432 0.0264 0.1631 1
Cr1 Cr 0.0000 0.0000 0.0000 1
Cr2 Cr 0.0000 0.0000 0.5000 1
P1 P 0.0205 0.2500 0.7559 1
P2 P 0.2444 0.2500 0.4215 1
O1 O 0.0304 0.7500 0.3784 1
O2 O 0.0358 0.5598 0.1815 1
O3 O 0.1074 0.7500 0.9420 1
O4 O 0.1677 0.2500 0.7572 1
O5 O 0.1925 0.0576 0.4848 1
O6 O 0.2139 0.2500 0.2865 1
F1 F 0.0694 0.7500 0.6305 1
F2 F 0.1507 0.2500 0.0502 1